[1]
Material: Ba3Ho2Cu2PtO10
Method: DFT, PBE
State: relaxed

Symmetry ... C2/m
MP2020-corrected energy ... -6.887 eV per atom
Uncorrected energy ... -6.5051 eV per atom

Cell and atoms, written as CIF:
```
data_Ba3Ho2Cu2PtO10
_chemical_formula_sum 'Ba3 Ho2 Cu2 Pt1 O10'
_cell_length_a 6.9415
_cell_length_b 6.9415
_cell_length_c 7.4855
_cell_angle_alpha 104.11
_cell_angle_beta 104.11
_cell_angle_gamma 49.92
_space_group_name_H-M_alt 'P 1'
_space_group_IT_number 1
_space_group_name_Hall 'P 1'
loop_
_atom_site_label
_atom_site_fract_x
_atom_site_fract_y
_atom_site_fract_z
Ba1 0.0000 0.0000 0.0000
Ba2 0.1528 0.1528 0.5380
Ba3 0.8472 0.8472 0.4620
Ho1 0.3112 0.3112 0.1257
Ho2 0.6888 0.6888 0.8743
Cu1 0.4099 0.4099 0.8005
Cu2 0.5901 0.5901 0.1995
Pt1 0.5000 0.5000 0.5000
O1 0.0866 0.5452 0.8750
O2 0.2618 0.7019 0.2805
O3 0.2981 0.7382 0.7195
O4 0.3327 0.3327 0.4481
O5 0.4548 0.9134 0.1250
O6 0.5452 0.0866 0.8750
O7 0.6673 0.6673 0.5519
O8 0.7019 0.2618 0.2805
O9 0.7382 0.2981 0.7195
O10 0.9134 0.4548 0.1250
```

[2]
Material: Ba4Cu3IO12
Method: DFT, PBE
State: relaxed

Symmetry ... Im-3m
MP2020-corrected energy ... -5.841 eV per atom
Uncorrected energy ... -5.4285 eV per atom

Cell and atoms, written as CIF:
```
data_Ba4Cu3IO12
_chemical_formula_sum 'Ba4 Cu3 I1 O12'
_cell_length_a 7.0814
_cell_length_b 7.0814
_cell_length_c 7.0814
_cell_angle_alpha 109.47
_cell_angle_beta 109.47
_cell_angle_gamma 109.47
_space_group_name_H-M_alt 'P 1'
_space_group_IT_number 1
_space_group_name_Hall 'P 1'
loop_
_atom_site_label
_atom_site_fract_x
_atom_site_fract_y
_atom_site_fract_z
Ba1 0.0000 0.0000 0.5000
Ba2 0.0000 0.5000 0.0000
Ba3 0.5000 0.0000 0.0000
Ba4 0.5000 0.5000 0.5000
Cu1 0.0000 0.5000 0.5000
Cu2 0.5000 0.0000 0.5000
Cu3 0.5000 0.5000 0.0000
I1 0.0000 0.0000 0.0000
O1 0.0000 0.2343 0.2343
O2 0.0000 0.7657 0.7657
O3 0.2343 0.0000 0.2343
O4 0.2343 0.2343 0.0000
O5 0.2500 0.5000 0.7500
O6 0.2500 0.7500 0.5000
O7 0.5000 0.2500 0.7500
O8 0.5000 0.7500 0.2500
O9 0.7500 0.2500 0.5000
O10 0.7500 0.5000 0.2500
O11 0.7657 0.0000 0.7657
O12 0.7657 0.7657 0.0000
```

no.,total moment (μB/cell)
1,0.1
2,1.3